Density functional theory data (GGA+U) for Li2FePCO7 after structural relaxation.

a = 6.502 Å, b = 5.088 Å, c = 16.659 Å
α = 84.93°, β = 90.00°, γ = 90.00°
Element x y z (fractional)
Li 0.270 0.761 0.048
Li 0.032 0.247 0.139
Li 0.532 0.753 0.361
Li 0.770 0.239 0.452
Li 0.230 0.761 0.548
Li 0.468 0.247 0.639
Li 0.968 0.753 0.861
Li 0.730 0.239 0.952
Fe 0.735 0.800 0.165
Fe 0.235 0.200 0.335
Fe 0.765 0.800 0.665
Fe 0.265 0.200 0.835
P 0.244 0.724 0.210
P 0.744 0.276 0.290
P 0.256 0.724 0.710
P 0.756 0.276 0.790
C 0.773 0.701 0.021
C 0.273 0.299 0.479
C 0.727 0.701 0.521
C 0.227 0.299 0.979
O 0.754 0.948 0.038
O 0.212 0.369 0.050
O 0.772 0.527 0.084
O 0.058 0.831 0.158
O 0.431 0.781 0.152
O 0.770 0.144 0.211
O 0.218 0.420 0.230
O 0.718 0.580 0.270
O 0.270 0.856 0.289
O 0.558 0.169 0.342
O 0.931 0.219 0.348
O 0.272 0.473 0.416
O 0.712 0.631 0.450
O 0.254 0.052 0.462
O 0.746 0.948 0.538
O 0.288 0.369 0.550
O 0.728 0.527 0.584
O 0.069 0.781 0.652
O 0.442 0.831 0.658
O 0.730 0.144 0.711
O 0.282 0.420 0.730
O 0.782 0.580 0.770
O 0.230 0.856 0.789
O 0.569 0.219 0.848
O 0.942 0.169 0.842
O 0.228 0.473 0.916
O 0.788 0.631 0.950
O 0.246 0.052 0.962

Results
The calculation puts the energy above the most stable polymorph in this dataset at 0.009 eV per atom. The calculation puts the formation energy at -2287 meV/atom. The value obtained for the total energy is -6.828 eV per atom.



Density functional theory data (GGA+U) for SrMn2O6 after structural relaxation.

a = 5.007 Å, b = 5.007 Å, c = 5.434 Å
α = 90.00°, β = 90.00°, γ = 120.00°
Element x y z (fractional)
Sr 0.000 0.000 0.000
Mn 0.667 0.333 0.500
Mn 0.333 0.667 0.500
O 0.566 0.566 0.719
O 0.000 0.434 0.719
O 0.566 0.566 0.281
O 0.000 0.434 0.281
O 0.434 0.000 0.719
O 0.434 0.000 0.281

Results
The calculation puts the formation energy at -1793 meV/atom. The value obtained for the total energy is -6.487 eV per atom.



Density functional theory data (GGA+U) for Li2Co3P4O14 after structural relaxation.

a = 5.525 Å, b = 6.910 Å, c = 7.403 Å
α = 74.46°, β = 82.37°, γ = 67.42°
Element x y z (fractional)
Li 0.641 0.026 0.689
Li 0.359 0.974 0.311
Co 0.809 0.484 0.684
Co 0.191 0.516 0.316
Co 0.000 0.000 0.000
P 0.800 0.269 0.343
P 0.651 0.690 0.063
P 0.200 0.731 0.657
P 0.349 0.310 0.937
O 0.635 0.223 0.858
O 0.742 0.434 0.138
O 0.839 0.764 0.142
O 0.258 0.566 0.862
O 0.968 0.060 0.286
O 0.161 0.236 0.858
O 0.540 0.272 0.447
O 0.672 0.727 0.851
O 0.058 0.644 0.550
O 0.460 0.728 0.553
O 0.365 0.777 0.142
O 0.328 0.273 0.149
O 0.032 0.940 0.714
O 0.942 0.356 0.450

Results
The calculation puts the energy above the most stable polymorph in this dataset at 0.045 eV per atom. The calculation puts the formation energy at -2351 meV/atom. The value obtained for the total energy is -6.766 eV per atom.



Density functional theory data (GGA+U) for CrSb2H12C8O5 after structural relaxation.

a = 8.617 Å, b = 10.675 Å, c = 19.579 Å
α = 105.38°, β = 90.00°, γ = 113.80°
Element x y z (fractional)
Cr 0.640 0.285 0.371
Cr 0.355 0.715 0.129
Cr 0.360 0.715 0.629
Cr 0.645 0.285 0.871
Sb 0.892 0.547 0.402
Sb 0.345 0.453 0.098
Sb 0.108 0.453 0.598
Sb 0.655 0.547 0.902
Sb 0.847 0.196 0.426
Sb 0.650 0.804 0.074
Sb 0.153 0.804 0.574
Sb 0.350 0.196 0.926
H 0.123 0.525 0.311
H 0.598 0.475 0.189
H 0.877 0.475 0.689
H 0.402 0.525 0.811
H 0.220 0.692 0.379
H 0.529 0.308 0.121
H 0.780 0.308 0.621
H 0.471 0.692 0.879
H 0.196 0.529 0.398
H 0.667 0.471 0.102
H 0.804 0.471 0.602
H 0.333 0.529 0.898
H 0.979 0.798 0.369
H 0.181 0.202 0.131
H 0.021 0.202 0.631
H 0.819 0.798 0.869
H 0.799 0.661 0.309
H 0.139 0.339 0.191
H 0.201 0.339 0.691
H 0.861 0.661 0.809
H 0.769 0.740 0.398
H 0.028 0.260 0.102
H 0.231 0.260 0.602
H 0.972 0.740 0.898
H 0.094 0.102 0.391
H 0.993 0.898 0.109
H 0.906 0.898 0.609
H 0.007 0.102 0.891
H 0.922 0.014 0.319
H 0.908 0.986 0.181
H 0.078 0.986 0.681
H 0.092 0.014 0.819
H 0.074 0.194 0.330
H 0.881 0.806 0.170
H 0.926 0.806 0.670
H 0.119 0.194 0.830
H 0.712 0.079 0.532
H 0.632 0.921 0.968
H 0.288 0.921 0.468
H 0.368 0.079 0.032
H 0.640 0.944 0.448
H 0.696 0.056 0.052
H 0.360 0.056 0.552
H 0.304 0.944 0.948
H 0.849 0.000 0.492
H 0.849 0.000 0.008
H 0.151 0.000 0.508
H 0.151 0.000 0.992
C 0.556 0.328 0.460
C 0.228 0.672 0.040
C 0.444 0.672 0.540
C 0.772 0.328 0.960
C 0.716 0.233 0.282
C 0.483 0.767 0.218
C 0.284 0.767 0.718
C 0.517 0.233 0.782
C 0.500 0.347 0.330
C 0.153 0.653 0.170
C 0.500 0.653 0.670
C 0.847 0.347 0.830
C 0.461 0.103 0.350
C 0.358 0.897 0.150
C 0.539 0.897 0.650
C 0.642 0.103 0.850
C 0.139 0.577 0.368
C 0.562 0.423 0.132
C 0.861 0.423 0.632
C 0.438 0.577 0.868
C 0.856 0.707 0.365
C 0.148 0.293 0.135
C 0.144 0.293 0.635
C 0.852 0.707 0.865
C 0.004 0.116 0.358
C 0.888 0.884 0.142
C 0.996 0.884 0.642
C 0.112 0.116 0.858
C 0.751 0.035 0.481
C 0.716 0.965 0.019
C 0.249 0.965 0.519
C 0.284 0.035 0.981
O 0.493 0.348 0.513
O 0.145 0.652 0.987
O 0.507 0.652 0.487
O 0.855 0.348 0.013
O 0.755 0.196 0.225
O 0.559 0.804 0.275
O 0.245 0.804 0.775
O 0.441 0.196 0.725
O 0.410 0.382 0.302
O 0.028 0.618 0.198
O 0.590 0.618 0.698
O 0.972 0.382 0.802
O 0.344 0.992 0.337
O 0.352 0.008 0.163
O 0.656 0.008 0.663
O 0.648 0.992 0.837
O 0.957 0.654 0.505
O 0.302 0.346 0.995
O 0.043 0.346 0.495
O 0.698 0.654 0.005

Results
The calculation puts the formation energy at -413 meV/atom. The value obtained for the total energy is -5.833 eV per atom.